Entry 1:
First-principles (PBE) data for crystalline La4CdNi at its relaxed geometry, as listed in the Materials Project database.

Cell: 10.0599 10.0599 10.0599 Å, 60.00 60.00 60.00°
Element x y z (fractional)
La 0.5965 0.5965 0.5965
La 0.5965 0.5965 0.2104
La 0.5965 0.2104 0.5965
La 0.2104 0.5965 0.5965
La 0.0599 0.4401 0.4401
La 0.4401 0.0599 0.0599
La 0.4401 0.0599 0.4401
La 0.0599 0.4401 0.0599
La 0.4401 0.4401 0.0599
La 0.0599 0.0599 0.4401
La 0.1868 0.8132 0.8132
La 0.8132 0.1868 0.1868
La 0.8132 0.1868 0.8132
La 0.1868 0.8132 0.1868
La 0.8132 0.8132 0.1868
La 0.1868 0.1868 0.8132
Cd 0.8292 0.8292 0.8292
Cd 0.8292 0.8292 0.5123
Cd 0.8292 0.5123 0.8292
Cd 0.5123 0.8292 0.8292
Ni 0.3911 0.3911 0.3911
Ni 0.3911 0.3911 0.8266
Ni 0.3911 0.8266 0.3911
Ni 0.8266 0.3911 0.3911

Output
symmetry: F-43m (216)
total DFT energy (no corrections): -111.71 eV/cell
volume: 719.9 Å³/cell

---

Entry 2:
First-principles (PBE) data for crystalline Mg3As2O8 at its relaxed geometry, as listed in the Materials Project database.

Cell: 7.1692 8.9110 8.9437 Å, 65.20 71.95 78.79°
Element x y z (fractional)
Mg 0.7782 0.0135 0.6503
Mg 0.7690 0.8175 0.4224
Mg 0.5670 0.2567 0.3153
Mg 0.3323 0.3347 0.7904
Mg 0.6314 0.5382 0.9089
Mg 0.5998 0.8304 0.1180
Mg 0.1688 0.1992 0.5990
Mg 0.0790 0.5177 0.0332
Mg 0.2132 0.6107 0.3261
As 0.7819 0.1986 0.8465
As 0.9663 0.1681 0.1125
As 0.2687 0.9862 0.3647
As 0.6954 0.4609 0.4638
As 0.9997 0.6991 0.6803
As 0.1888 0.8931 0.9455
O 0.8876 0.6389 0.9075
O 0.8830 0.2336 0.6187
O 0.7388 0.7495 0.6726
O 0.9224 0.1555 0.3394
O 0.9783 0.5631 0.2567
O 0.7465 0.0553 0.4176
O 0.5822 0.5806 0.2564
O 0.8708 0.7310 0.2250
O 0.5872 0.3597 0.8247
O 0.6726 0.0128 0.8895
O 0.7603 0.3181 0.0902
O 0.5538 0.2989 0.5256
O 0.5162 0.8868 0.3329
O 0.2729 0.0896 0.8056
O 0.2879 0.6010 0.7507
O 0.4560 0.4950 0.2150
O 0.1997 0.4293 0.5836
O 0.3198 0.1545 0.4015
O 0.1648 0.2937 0.0326
O 0.0747 0.9074 0.6242
O 0.0249 0.4646 0.7128
O 0.0648 0.7466 0.4523
O 0.3195 0.8219 0.1007
O 0.3259 0.6382 0.8872

Output
symmetry: P1 (1)
total DFT energy (no corrections): -221.44 eV/cell
volume: 491.8 Å³/cell
magnetization: 0.0 μB/f.u.

---

Entry 3:
First-principles (PBE) data for crystalline Pr2Ge5Ir3 at its relaxed geometry, as listed in the Materials Project database.

Cell: 8.5044 8.5044 8.5044 Å, 137.74 105.09 89.98°
Element x y z (fractional)
Pr 0.8610 0.6333 0.2277
Pr 0.1390 0.3667 0.7723
Pr 0.4056 0.1333 0.2723
Pr 0.5944 0.8667 0.7277
Ge 0.5000 0.7500 0.2500
Ge 0.5000 0.2500 0.7500
Ge 0.2241 0.9741 0.7500
Ge 0.7759 0.5259 0.7500
Ge 0.7759 0.0259 0.2500
Ge 0.2241 0.4741 0.2500
Ge 0.0600 0.9001 0.1599
Ge 0.9400 0.0999 0.8401
Ge 0.7401 0.4001 0.3401
Ge 0.2599 0.5999 0.6599
Ir 0.0000 0.7500 0.7500
Ir 0.0000 0.2500 0.2500
Ir 0.2497 0.8586 0.3910
Ir 0.7503 0.1414 0.6090
Ir 0.4676 0.3586 0.1090
Ir 0.5324 0.6414 0.8910

Output
symmetry: Ibam (72)
total DFT energy (no corrections): -133.36 eV/cell
volume: 381.5 Å³/cell

---

Entry 4:
First-principles (PBE) data for crystalline NaCrN at its relaxed geometry, as listed in the Materials Project database.

Cell: 10.7017 3.1650 5.8783 Å, 90.00 90.00 90.00°
Element x y z (fractional)
Na 0.6612 0.2500 0.8841
Na 0.1612 0.2500 0.6159
Na 0.3388 0.7500 0.1159
Na 0.8388 0.7500 0.3841
Cr 0.5645 0.2500 0.3997
Cr 0.0645 0.2500 0.1003
Cr 0.4355 0.7500 0.6003
Cr 0.9355 0.7500 0.8997
N 0.8866 0.2500 0.0314
N 0.3866 0.2500 0.4686
N 0.1134 0.7500 0.9686
N 0.6134 0.7500 0.5314

Output
symmetry: Pnma (62)
energy relative to the lowest polymorph listed for this composition: 144 meV per atom
volume: 199.1 Å³/cell
magnetization: 1.5 μB/f.u.

---

Entry 5:
First-principles (PBE) data for crystalline USe2 at its relaxed geometry, as listed in the Materials Project database.

Cell: 10.6797 10.6797 6.5738 Å, 90.00 90.00 90.00°
Element x y z (fractional)
U 0.8404 0.1546 0.2500
U 0.6546 0.6596 0.2500
U 0.3454 0.3404 0.2500
U 0.1596 0.8454 0.2500
U 0.5000 0.0000 0.8580
U 0.3404 0.6546 0.7500
U 0.1546 0.1596 0.7500
U 0.8454 0.8404 0.7500
U 0.6596 0.3454 0.7500
U 0.0000 0.5000 0.1420
Se 0.7095 0.0874 0.6186
Se 0.5874 0.7905 0.6186
Se 0.4126 0.2095 0.6186
Se 0.2905 0.9126 0.6186
Se 0.7079 0.9137 0.1147
Se 0.5863 0.2079 0.1147
Se 0.4137 0.7921 0.1147
Se 0.2921 0.0863 0.1147
Se 0.5000 0.5000 0.0000
Se 0.0000 0.0000 0.0000
Se 0.2079 0.4137 0.8853
Se 0.0863 0.7079 0.8853
Se 0.9137 0.2921 0.8853
Se 0.7921 0.5863 0.8853
Se 0.5000 0.5000 0.5000
Se 0.0000 0.0000 0.5000
Se 0.2095 0.5874 0.3814
Se 0.0874 0.2905 0.3814
Se 0.9126 0.7095 0.3814
Se 0.7905 0.4126 0.3814

Output
symmetry: P4/n (85)
total DFT energy (no corrections): -216.94 eV/cell
volume: 749.8 Å³/cell

---

Entry 6:
First-principles (PBE) data for crystalline Ba7Sc6Al2O19 at its relaxed geometry, as listed in the Materials Project database.

Cell: 5.8572 5.8572 35.6745 Å, 90.00 90.00 120.00°
Element x y z (fractional)
Ba 0.0000 0.0000 0.0536
Ba 0.3333 0.6667 0.8926
Ba 0.3333 0.6667 0.3276
Ba 0.0000 0.0000 0.9464
Ba 0.0000 0.0000 0.4464
Ba 0.6667 0.3333 0.3926
Ba 0.3333 0.6667 0.1724
Ba 0.0000 0.0000 0.7500
Ba 0.3333 0.6667 0.6074
Ba 0.6667 0.3333 0.1074
Ba 0.0000 0.0000 0.5536
Ba 0.6667 0.3333 0.8276
Ba 0.0000 0.0000 0.2500
Ba 0.6667 0.3333 0.6724
Sc 0.0000 0.0000 0.8516
Sc 0.3333 0.6667 0.5055
Sc 0.6667 0.3333 0.4945
Sc 0.6667 0.3333 0.9213
Sc 0.3333 0.6667 0.9945
Sc 0.3333 0.6667 0.4213
Sc 0.6667 0.3333 0.0055
Sc 0.6667 0.3333 0.5787
Sc 0.0000 0.0000 0.3516
Sc 0.0000 0.0000 0.1484
Sc 0.3333 0.6667 0.0787
Sc 0.0000 0.0000 0.6484
Al 0.3333 0.6667 0.7988
Al 0.6667 0.3333 0.2988
Al 0.3333 0.6667 0.7012
Al 0.6667 0.3333 0.2012
O 0.3322 0.1661 0.8876
O 0.1683 0.3367 0.6849
O 0.3367 0.1683 0.1849
O 0.1661 0.3322 0.1124
O 0.3333 0.6667 0.7500
O 0.9903 0.4951 0.5381
O 0.6678 0.8339 0.3876
O 0.6633 0.8317 0.8151
O 0.0097 0.5049 0.0381
O 0.1683 0.3367 0.8151
O 0.1683 0.8317 0.8151
O 0.5049 0.0097 0.9619
O 0.8317 0.1683 0.3151
O 0.1661 0.8339 0.3876
O 0.0097 0.5049 0.4619
O 0.6667 0.3333 0.2500
O 0.8339 0.6678 0.8876
O 0.1683 0.8317 0.6849
O 0.5049 0.4951 0.9619
O 0.8339 0.1661 0.8876
O 0.1661 0.3322 0.3876
O 0.5049 0.4951 0.5381
O 0.6633 0.8317 0.6849
O 0.3367 0.1683 0.3151
O 0.8317 0.1683 0.1849
O 0.6678 0.8339 0.1124
O 0.9903 0.4951 0.9619
O 0.8339 0.6678 0.6124
O 0.8317 0.6633 0.3151
O 0.5049 0.0097 0.5381
O 0.8339 0.1661 0.6124
O 0.4951 0.5049 0.4619
O 0.1661 0.8339 0.1124
O 0.4951 0.9903 0.4619
O 0.4951 0.5049 0.0381
O 0.4951 0.9903 0.0381
O 0.8317 0.6633 0.1849
O 0.3322 0.1661 0.6124

Output
symmetry: P6_3/mmc (194)
total DFT energy (no corrections): -519.26 eV/cell
volume: 1059.9 Å³/cell
magnetization: 0.0 μB/f.u.

---

Entry 7:
First-principles (PBE) data for crystalline Cs2ZnI4 at its relaxed geometry, as listed in the Materials Project database.

Cell: 8.5686 14.9735 33.2987 Å, 90.00 90.00 90.00°
Element x y z (fractional)
Cs 0.7497 0.1649 0.5082
Cs 0.2497 0.8351 0.4918
Cs 0.2497 0.6649 0.9918
Cs 0.7497 0.3351 0.0082
Cs 0.7450 0.1666 0.8416
Cs 0.2450 0.8334 0.1584
Cs 0.2450 0.6666 0.6584
Cs 0.7450 0.3334 0.3416
Cs 0.7492 0.1645 0.1749
Cs 0.2492 0.8355 0.8251
Cs 0.2492 0.6645 0.3251
Cs 0.7492 0.3355 0.6749
Cs 0.7487 0.8971 0.6231
Cs 0.2487 0.1029 0.3769
Cs 0.2487 0.3971 0.8769
Cs 0.7487 0.6029 0.1231
Cs 0.7537 0.9003 0.9568
Cs 0.2537 0.0997 0.0432
Cs 0.2537 0.4003 0.5432
Cs 0.7537 0.5997 0.4568
Cs 0.7428 0.8957 0.2898
Cs 0.2428 0.1043 0.7102
Cs 0.2428 0.3957 0.2102
Cs 0.7428 0.6043 0.7898
Zn 0.7460 0.9237 0.7545
Zn 0.2460 0.0763 0.2455
Zn 0.2460 0.4237 0.7455
Zn 0.7460 0.5763 0.2545
Zn 0.7504 0.9222 0.0879
Zn 0.2504 0.0778 0.9121
Zn 0.2504 0.4222 0.4121
Zn 0.7504 0.5778 0.5879
Zn 0.7428 0.9216 0.4211
Zn 0.2428 0.0784 0.5789
Zn 0.2428 0.4216 0.0789
Zn 0.7428 0.5784 0.9211
I 0.7375 0.9012 0.4995
I 0.2375 0.0988 0.5005
I 0.2375 0.4012 0.0005
I 0.7375 0.5988 0.9995
I 0.7494 0.9024 0.8329
I 0.2494 0.0976 0.1671
I 0.2494 0.4024 0.6671
I 0.7494 0.5976 0.3329
I 0.7546 0.9006 0.1662
I 0.2546 0.0994 0.8338
I 0.2546 0.4006 0.3338
I 0.7546 0.5994 0.6662
I 0.7266 0.0922 0.7305
I 0.2266 0.9078 0.2695
I 0.2266 0.5922 0.7695
I 0.7266 0.4078 0.2305
I 0.7583 0.0909 0.0637
I 0.2583 0.9091 0.9363
I 0.2583 0.5909 0.4363
I 0.7583 0.4091 0.5637
I 0.7585 0.0904 0.3971
I 0.2585 0.9096 0.6029
I 0.2585 0.5904 0.1029
I 0.7585 0.4096 0.8971
I 0.5007 0.8401 0.7246
I 0.0007 0.1599 0.2754
I 0.0007 0.3401 0.7754
I 0.5007 0.6599 0.2246
I 0.4937 0.8523 0.0575
I 0.9937 0.1477 0.9425
I 0.9937 0.3523 0.4425
I 0.4937 0.6477 0.5575
I 0.4847 0.8559 0.3892
I 0.9847 0.1441 0.6108
I 0.9847 0.3559 0.1108
I 0.4847 0.6441 0.8892
I 0.5052 0.1425 0.2764
I 0.0052 0.8575 0.7236
I 0.0052 0.6425 0.2236
I 0.5052 0.3575 0.7764
I 0.4986 0.1574 0.9427
I 0.9986 0.8426 0.0573
I 0.9986 0.6574 0.5573
I 0.4986 0.3426 0.4427
I 0.4900 0.1615 0.6076
I 0.9900 0.8385 0.3924
I 0.9900 0.6615 0.8924
I 0.4900 0.3385 0.1076

Output
symmetry: Pna2_1 (33)
total DFT energy (no corrections): -209.12 eV/cell
volume: 4272.3 Å³/cell
magnetization: 0.0 μB/f.u.

---

Entry 8:
First-principles (PBE) data for crystalline CaInPt at its relaxed geometry, as listed in the Materials Project database.

Cell: 4.4114 7.3281 8.5292 Å, 90.00 90.00 90.00°
Element x y z (fractional)
Ca 0.2500 0.0297 0.3223
Ca 0.2500 0.5297 0.1777
Ca 0.7500 0.9703 0.6777
Ca 0.7500 0.4703 0.8223
In 0.7500 0.3505 0.4346
In 0.2500 0.1495 0.9346
In 0.7500 0.8505 0.0654
In 0.2500 0.6495 0.5654
Pt 0.7500 0.2324 0.1238
Pt 0.7500 0.7324 0.3762
Pt 0.2500 0.7676 0.8762
Pt 0.2500 0.2676 0.6238

Output
symmetry: Pnma (62)
total DFT energy (no corrections): -53.17 eV/cell
volume: 275.7 Å³/cell